Entry from the Materials Project: an optimized crystal structure of CsMg30TiO32 (PBE).

a = 8.682 Å, b = 8.671 Å, c = 8.671 Å
α = 90.00°, β = 90.00°, γ = 90.00°
Sites, in units of the cell vectors:
Cs: 0.000 0.500 0.500
Mg: 0.000 0.000 0.500
Mg: 0.000 0.500 0.000
Mg: 0.500 0.000 0.000
Mg: 0.500 0.000 0.500
Mg: 0.500 0.500 0.000
Mg: 0.500 0.500 0.500
Mg: 0.000 0.249 0.249
Mg: 0.000 0.249 0.751
Mg: 0.000 0.751 0.249
Mg: 0.000 0.751 0.751
Mg: 0.500 0.251 0.251
Mg: 0.500 0.251 0.749
Mg: 0.500 0.749 0.251
Mg: 0.500 0.749 0.749
Mg: 0.253 0.000 0.252
Mg: 0.253 0.000 0.748
Mg: 0.256 0.500 0.246
Mg: 0.256 0.500 0.754
Mg: 0.747 0.000 0.252
Mg: 0.747 0.000 0.748
Mg: 0.744 0.500 0.246
Mg: 0.744 0.500 0.754
Mg: 0.253 0.252 0.000
Mg: 0.256 0.246 0.500
Mg: 0.253 0.748 0.000
Mg: 0.256 0.754 0.500
Mg: 0.747 0.252 0.000
Mg: 0.744 0.246 0.500
Mg: 0.747 0.748 0.000
Mg: 0.744 0.754 0.500
Ti: 0.000 0.000 0.000
O: 0.249 0.000 0.000
O: 0.257 0.000 0.500
O: 0.257 0.500 0.000
O: 0.285 0.500 0.500
O: 0.751 0.000 0.000
O: 0.743 0.000 0.500
O: 0.743 0.500 0.000
O: 0.715 0.500 0.500
O: 0.249 0.249 0.249
O: 0.249 0.249 0.751
O: 0.249 0.751 0.249
O: 0.249 0.751 0.751
O: 0.751 0.249 0.249
O: 0.751 0.249 0.751
O: 0.751 0.751 0.249
O: 0.751 0.751 0.751
O: 0.000 0.000 0.238
O: 0.000 0.000 0.762
O: 0.000 0.500 0.214
O: 0.000 0.500 0.786
O: 0.500 0.000 0.246
O: 0.500 0.000 0.754
O: 0.500 0.500 0.242
O: 0.500 0.500 0.758
O: 0.000 0.238 0.000
O: 0.000 0.214 0.500
O: 0.000 0.762 0.000
O: 0.000 0.786 0.500
O: 0.500 0.246 0.000
O: 0.500 0.242 0.500
O: 0.500 0.754 0.000
O: 0.500 0.758 0.500

Computed properties:
total energy after the MP2020 corrections	-6.26	eV/atom
energy of formation from the pure elements	-2.8958	eV per atom
relative energy among the computed polymorphs	0.57	eV per formula unit